K3Au3Br8: optimized geometry, PBE-GGA.

- energy relative to the elements (kJ/mol of atoms) = -114
- E (eV/cell) = -76.9
- space group = C2/c, No. 15

abc: 7.443 7.443 19.344
angles: 84.15 84.15 64.14
Element x y z (fractional)
1 K 0.678 0.686 0.415
2 K 0.322 0.314 0.585
3 K 0.314 0.322 0.085
4 K 0.686 0.678 0.915
5 K 0.985 0.015 0.250
6 K 0.015 0.985 0.750
7 Au 0.000 0.000 0.000
8 Au 0.000 0.000 0.500
9 Au 0.612 0.617 0.190
10 Au 0.388 0.383 0.810
11 Au 0.383 0.388 0.310
12 Au 0.617 0.612 0.690
13 Br 0.313 0.759 0.124
14 Br 0.687 0.241 0.876
15 Br 0.241 0.687 0.376
16 Br 0.759 0.313 0.624
17 Br 0.507 0.089 0.242
18 Br 0.493 0.911 0.758
19 Br 0.911 0.493 0.258
20 Br 0.089 0.507 0.742
21 Br 0.785 0.847 0.063
22 Br 0.215 0.153 0.937
23 Br 0.153 0.215 0.437
24 Br 0.847 0.785 0.563
25 Br 0.700 0.164 0.427
26 Br 0.300 0.836 0.573
27 Br 0.836 0.300 0.073
28 Br 0.164 0.700 0.927

***

K3AuBr6: optimized geometry, PBE-GGA.

- energy relative to the elements (kJ/mol of atoms) = -125
- E (eV/cell) = -26.2
- space group = Fm-3m, No. 225
- total moment (μB/cell) = 1.99

abc: 8.153 8.153 8.153
angles: 60.00 60.00 60.00
Element x y z (fractional)
1 K 0.750 0.750 0.750
2 K 0.250 0.250 0.250
3 K 0.500 0.500 0.500
4 Au 0.000 0.000 0.000
5 Br 0.769 0.231 0.231
6 Br 0.231 0.231 0.769
7 Br 0.231 0.769 0.769
8 Br 0.231 0.769 0.231
9 Br 0.769 0.231 0.769
10 Br 0.769 0.769 0.231